Dy2Ga9Ru3 | r²SCAN | optimized geometry Values from VASP.

## Properties
energy = -17.965 eV per atom
V = 16.503 Å³/atom
E_form = -0.5923 eV/atom

```
&SYSTEM
  ibrav = 0, nat = 28, ntyp = 3
/
ATOMIC_SPECIES
Dy 162.50 Dy.upf
Ga 69.72 Ga.upf
Ru 101.07 Ru.upf
CELL_PARAMETERS angstrom
3.761 -6.361 0.000
3.761 6.361 0.000
0.000 0.000 9.658
ATOMIC_POSITIONS crystal
Dy 0.676 0.998 0.250
Dy 0.002 0.324 0.750
Dy 0.324 0.002 0.750
Dy 0.998 0.676 0.250
Ga 0.661 0.661 0.438
Ga 0.339 0.012 0.423
Ga 0.446 0.660 0.750
Ga 0.012 0.339 0.077
Ga 0.339 0.012 0.077
Ga 0.661 0.661 0.062
Ga 0.988 0.661 0.923
Ga 0.865 0.865 0.750
Ga 0.661 0.988 0.577
Ga 0.340 0.554 0.250
Ga 0.339 0.339 0.938
Ga 0.135 0.135 0.250
Ga 0.661 0.988 0.923
Ga 0.988 0.661 0.577
Ga 0.012 0.339 0.423
Ga 0.554 0.340 0.250
Ga 0.660 0.446 0.750
Ga 0.339 0.339 0.562
Ru 0.677 0.323 0.500
Ru 0.323 0.677 0.500
Ru 0.000 0.000 0.000
Ru 0.677 0.323 0.000
Ru 0.000 0.000 0.500
Ru 0.323 0.677 0.000
```



LaGa6Pd | r²SCAN | optimized geometry Values from VASP.

## Properties
energy = -15.756 eV per atom
V = 18.973 Å³/atom
E_form = -0.5857 eV/atom

```
&SYSTEM
  ibrav = 0, nat = 8, ntyp = 3
/
ATOMIC_SPECIES
Pd 106.42 Pd.upf
La 138.91 La.upf
Ga 69.72 Ga.upf
CELL_PARAMETERS angstrom
-2.084 3.551 -1.484
-0.950 -2.110 -3.714
-6.755 -2.620 3.216
ATOMIC_POSITIONS crystal
Pd 0.000 0.000 0.500
La 0.000 0.000 0.000
Ga 0.500 0.500 0.848
Ga 0.000 0.500 0.671
Ga 0.500 0.000 0.329
Ga 0.500 0.500 0.152
Ga 0.000 0.500 0.329
Ga 0.500 0.000 0.671
```



Rb2ZrF6 | r²SCAN | optimized geometry Values from VASP.

## Properties
energy = -11.362 eV per atom
V = 17.112 Å³/atom
E_form = -3.6548 eV/atom

```
&SYSTEM
  ibrav = 0, nat = 9, ntyp = 3
/
ATOMIC_SPECIES
F 19.00 F.upf
Zr 91.22 Zr.upf
Rb 85.47 Rb.upf
CELL_PARAMETERS angstrom
-3.461 3.216 -3.875
2.977 -4.963 -1.960
-3.761 -2.699 1.120
ATOMIC_POSITIONS crystal
F 0.840 0.160 0.769
F 0.160 0.840 0.231
F 0.319 0.160 0.769
F 0.160 0.319 0.231
F 0.840 0.681 0.769
F 0.681 0.840 0.231
Zr 0.000 0.000 0.000
Rb 0.333 0.667 0.696
Rb 0.667 0.333 0.304
```



YbMgGa4 | r²SCAN | optimized geometry Values from VASP.

## Properties
energy = -14.815 eV per atom
V = 18.413 Å³/atom
E_form = -0.4036 eV/atom

```
&SYSTEM
  ibrav = 0, nat = 6, ntyp = 3
/
ATOMIC_SPECIES
Ga 69.72 Ga.upf
Yb 173.04 Yb.upf
Mg 24.30 Mg.upf
CELL_PARAMETERS angstrom
2.211 -3.830 0.000
2.211 3.830 0.000
0.000 0.000 6.522
ATOMIC_POSITIONS crystal
Ga 0.333 0.667 0.798
Ga 0.333 0.667 0.202
Ga 0.667 0.333 0.728
Ga 0.667 0.333 0.272
Yb 0.000 0.000 0.500
Mg 0.000 0.000 0.000
```